[1]
{
  "formula": "Na2CuH4C4O10",
  "functional": "PBE",
  "state": "relaxed",
  "lattice": [[3.6078, 0.0000, 0.0000], [-1.8035, 7.3766, 0.0000], [-1.3709, -2.7204, 9.0654]],
  "species": ["Na", "Na", "Cu", "H", "H", "H", "H", "C", "C", "C", "C", "O", "O", "O", "O", "O", "O", "O", "O", "O", "O"],
  "frac_coords": [[0.6901, 0.2987, 0.5734], [0.3099, 0.7013, 0.4266], [0.0000, 0.0000, 0.0000], [0.4402, 0.5290, 0.8076], [0.5598, 0.4710, 0.1924], [0.3257, 0.3237, 0.8277], [0.6743, 0.6763, 0.1723], [0.0403, 0.2197, 0.2757], [0.9597, 0.7803, 0.7243], [0.7343, 0.0283, 0.2545], [0.2657, 0.9717, 0.7455], [0.1918, 0.2346, 0.1628], [0.8082, 0.7654, 0.8372], [0.6634, 0.9067, 0.1252], [0.3366, 0.0933, 0.8748], [0.1252, 0.3449, 0.3964], [0.8748, 0.6551, 0.6036], [0.5742, 0.0014, 0.3574], [0.4258, 0.9986, 0.6426], [0.2906, 0.3966, 0.7574], [0.7094, 0.6034, 0.2426]],
  "energy_mp2020_ev_per_atom": -6.617,
  "total_magnetization_mub_per_fu": 1.0
}


[2]
{
  "formula": "TbCdPd",
  "functional": "PBE",
  "state": "relaxed",
  "lattice": [[3.8328, -6.6386, 0.0000], [3.8328, 6.6386, 0.0000], [0.0000, 0.0000, 3.9222]],
  "species": ["Tb", "Tb", "Tb", "Cd", "Cd", "Cd", "Pd", "Pd", "Pd"],
  "frac_coords": [[0.5932, 0.0000, 0.0000], [0.0000, 0.5932, 0.0000], [0.4068, 0.4068, 0.0000], [0.2575, 0.0000, 0.5000], [0.0000, 0.2575, 0.5000], [0.7425, 0.7425, 0.5000], [0.3333, 0.6667, 0.5000], [0.6667, 0.3333, 0.5000], [0.0000, 0.0000, 0.0000]]
}


[3]
{
  "formula": "KCaEr2CuS5",
  "functional": "PBE",
  "state": "relaxed",
  "lattice": [[-6.0228, -3.7151, 0.0320], [5.9748, 1.6709, -3.4038], [8.0383, -12.9648, 7.7456]],
  "species": ["K", "K", "Ca", "Ca", "Er", "Er", "Er", "Er", "Cu", "Cu", "S", "S", "S", "S", "S", "S", "S", "S", "S", "S"],
  "frac_coords": [[0.5240, 0.4760, 0.2500], [0.4760, 0.5240, 0.7500], [0.0000, 0.0000, 0.0000], [0.0000, 0.0000, 0.5000], [0.7294, 0.2706, 0.6031], [0.2706, 0.7294, 0.3969], [0.2706, 0.7294, 0.1031], [0.7294, 0.2706, 0.8969], [0.7964, 0.2036, 0.2500], [0.2036, 0.7964, 0.7500], [0.6440, 0.3560, 0.0468], [0.3560, 0.6440, 0.9532], [0.3560, 0.6440, 0.5468], [0.6440, 0.3560, 0.4532], [0.8956, 0.1044, 0.1387], [0.1044, 0.8956, 0.8613], [0.1044, 0.8956, 0.6387], [0.8956, 0.1044, 0.3613], [0.2015, 0.7985, 0.2500], [0.7985, 0.2015, 0.7500]],
  "energy_mp2020_ev_per_atom": -5.723,
  "total_magnetization_mub_per_fu": 0.0
}


[4]
{
  "formula": "Mg6SiC",
  "functional": "PBE",
  "state": "relaxed",
  "lattice": [[4.5427, 0.0000, 0.0000], [0.0000, 6.1457, 0.0000], [0.0000, 0.0000, 10.8957]],
  "species": ["Mg", "Mg", "Mg", "Mg", "Mg", "Mg", "Mg", "Mg", "Mg", "Mg", "Mg", "Mg", "Si", "Si", "C", "C"],
  "frac_coords": [[0.0000, 0.7824, 0.6138], [0.0000, 0.2176, 0.6138], [0.0000, 0.5000, 0.8435], [0.5000, 0.2411, 0.9153], [0.5000, 0.7589, 0.9153], [0.5000, 0.5000, 0.6639], [0.0000, 0.2824, 0.1138], [0.0000, 0.7176, 0.1138], [0.0000, 0.0000, 0.3435], [0.5000, 0.7411, 0.4153], [0.5000, 0.2589, 0.4153], [0.5000, 0.0000, 0.1639], [0.0000, 0.0000, 0.8757], [0.0000, 0.5000, 0.3757], [0.5000, 0.0000, 0.5587], [0.5000, 0.5000, 0.0587]],
  "total_magnetization_mub_per_fu": 0.0
}


[5]
{
  "formula": "PdS4N4",
  "functional": "PBE",
  "state": "relaxed",
  "lattice": [[-0.0167, 0.0000, 9.0089], [13.3461, 0.0000, -0.1367], [0.0000, 15.0702, 0.0000]],
  "species": ["Pd", "Pd", "Pd", "Pd", "Pd", "Pd", "Pd", "Pd", "S", "S", "S", "S", "S", "S", "S", "S", "S", "S", "S", "S", "S", "S", "S", "S", "S", "S", "S", "S", "S", "S", "S", "S", "S", "S", "S", "S", "S", "S", "S", "S", "N", "N", "N", "N", "N", "N", "N", "N", "N", "N", "N", "N", "N", "N", "N", "N", "N", "N", "N", "N", "N", "N", "N", "N", "N", "N", "N", "N", "N", "N", "N", "N"],
  "frac_coords": [[0.3687, 0.1333, 0.1271], [0.6313, 0.8667, 0.8729], [0.1313, 0.8667, 0.6271], [0.8687, 0.1333, 0.3729], [0.3057, 0.6348, 0.3761], [0.6943, 0.3652, 0.6239], [0.1943, 0.3652, 0.8761], [0.8057, 0.6348, 0.1239], [0.4757, 0.5813, 0.1284], [0.5243, 0.4187, 0.8716], [0.0243, 0.4187, 0.6284], [0.9757, 0.5813, 0.3716], [0.1255, 0.0965, 0.1161], [0.8745, 0.9035, 0.8839], [0.3745, 0.9035, 0.6161], [0.6255, 0.0965, 0.3839], [0.2329, 0.4730, 0.3711], [0.7671, 0.5270, 0.6289], [0.2671, 0.5270, 0.8711], [0.7329, 0.4730, 0.1289], [0.4577, 0.1997, 0.6283], [0.5423, 0.8003, 0.3717], [0.0423, 0.8003, 0.1283], [0.9577, 0.1997, 0.8717], [0.0466, 0.5961, 0.1093], [0.9534, 0.4039, 0.8907], [0.4534, 0.4039, 0.6093], [0.5466, 0.5961, 0.3907], [0.0649, 0.0284, 0.6352], [0.9351, 0.9716, 0.3648], [0.4351, 0.9716, 0.1352], [0.5649, 0.0284, 0.8648], [0.1416, 0.3006, 0.1344], [0.8584, 0.6994, 0.8656], [0.3584, 0.6994, 0.6344], [0.6416, 0.3006, 0.3656], [0.1962, 0.0788, 0.3761], [0.8038, 0.9212, 0.6239], [0.3038, 0.9212, 0.8761], [0.6962, 0.0788, 0.1239], [0.1416, 0.7011, 0.1138], [0.8584, 0.2989, 0.8862], [0.3584, 0.2989, 0.6138], [0.6416, 0.7011, 0.3862], [0.3843, 0.0300, 0.8665], [0.6157, 0.9700, 0.1335], [0.1157, 0.9700, 0.3665], [0.8843, 0.0300, 0.6335], [0.0364, 0.2022, 0.1208], [0.9636, 0.7978, 0.8792], [0.4636, 0.7978, 0.6208], [0.5364, 0.2022, 0.3792], [0.3088, 0.2776, 0.1366], [0.6912, 0.7224, 0.8634], [0.1912, 0.7224, 0.6366], [0.8088, 0.2776, 0.3634], [0.0890, 0.6691, 0.3743], [0.9110, 0.3309, 0.6257], [0.4110, 0.3309, 0.8743], [0.5890, 0.6691, 0.1257], [0.0865, 0.1669, 0.3786], [0.9135, 0.8331, 0.6214], [0.4135, 0.8331, 0.8786], [0.5865, 0.1669, 0.1214], [0.1262, 0.2212, 0.8675], [0.8738, 0.7788, 0.1325], [0.3738, 0.7788, 0.3675], [0.6262, 0.2212, 0.6325], [0.0526, 0.4719, 0.3680], [0.9474, 0.5281, 0.6320], [0.4474, 0.5281, 0.8680], [0.5526, 0.4719, 0.1320]],
  "energy_mp2020_ev_per_atom": -5.713,
  "total_magnetization_mub_per_fu": 0.0
}


[6]
{
  "formula": "Pm2ZnAg",
  "functional": "PBE",
  "state": "relaxed",
  "lattice": [[0.0000, 3.7082, 3.7082], [3.7082, 0.0000, 3.7082], [3.7082, 3.7082, 0.0000]],
  "species": ["Pm", "Pm", "Zn", "Ag"],
  "frac_coords": [[0.2500, 0.2500, 0.2500], [0.7500, 0.7500, 0.7500], [0.0000, 0.0000, 0.0000], [0.5000, 0.5000, 0.5000]]
}


[7]
{
  "formula": "Mg3ZrO4",
  "functional": "PBE",
  "state": "relaxed",
  "lattice": [[-3.7180, -0.5303, -2.3849], [-0.6558, -3.9668, 1.9044], [-2.3535, 1.9431, 3.2369]],
  "species": ["Mg", "Mg", "Mg", "Zr", "O", "O", "O", "O"],
  "frac_coords": [[0.0000, 0.5000, 0.5000], [0.5000, 0.0000, 0.5000], [0.5000, 0.5000, 0.0000], [0.0000, 0.0000, 0.0000], [0.5000, 0.0000, 0.0000], [0.5000, 0.5000, 0.5000], [0.0000, 0.0000, 0.5000], [0.0000, 0.5000, 0.0000]],
  "energy_mp2020_ev_per_atom": -6.803,
  "total_magnetization_mub_per_fu": 0.1
}


[8]
{
  "formula": "Sc3InN",
  "functional": "PBE",
  "state": "relaxed",
  "lattice": [[4.4746, 0.0000, 0.0000], [0.0000, 4.4746, 0.0000], [0.0000, 0.0000, 4.4746]],
  "species": ["Sc", "Sc", "Sc", "In", "N"],
  "frac_coords": [[0.5000, 0.5000, 0.0000], [0.5000, 0.0000, 0.5000], [0.0000, 0.5000, 0.5000], [0.0000, 0.0000, 0.0000], [0.5000, 0.5000, 0.5000]],
  "energy_mp2020_ev_per_atom": -7.209
}


[9]
{
  "formula": "TeMoWSeS2",
  "functional": "PBE",
  "state": "relaxed",
  "lattice": [[-2.3389, 2.1491, -0.9277], [1.1035, -2.2702, -2.1397], [-26.2732, -23.6242, 11.5149]],
  "species": ["Te", "Te", "Mo", "Mo", "W", "W", "Se", "Se", "S", "S", "S", "S"],
  "frac_coords": [[0.0000, 0.0000, 0.7094], [0.0000, 0.0000, 0.6060], [0.0000, 0.0000, 0.0939], [0.3333, 0.6667, 0.2818], [0.0000, 0.0000, 0.4695], [0.3333, 0.6667, 0.6577], [0.0000, 0.0000, 0.3270], [0.0000, 0.0000, 0.2366], [0.3333, 0.6667, 0.0528], [0.3333, 0.6667, 0.4283], [0.3333, 0.6667, 0.1350], [0.3333, 0.6667, 0.5108]],
  "energy_mp2020_ev_per_atom": -7.175,
  "total_magnetization_mub_per_fu": 0.0
}


[10]
{
  "formula": "Li2MgCu2Si4O12",
  "functional": "PBE",
  "state": "relaxed",
  "lattice": [[-2.9855, -4.3117, 0.4183], [2.2299, -2.8498, -4.4922], [4.5829, -4.3617, 4.1187]],
  "species": ["Li", "Li", "Mg", "Cu", "Cu", "Si", "Si", "Si", "Si", "O", "O", "O", "O", "O", "O", "O", "O", "O", "O", "O", "O"],
  "frac_coords": [[0.9268, 0.7572, 0.4103], [0.0732, 0.2428, 0.5897], [0.0000, 0.0000, 0.0000], [0.4923, 0.8363, 0.1836], [0.5077, 0.1637, 0.8164], [0.3013, 0.7767, 0.6275], [0.7789, 0.5898, 0.8138], [0.2211, 0.4102, 0.1862], [0.6987, 0.2233, 0.3725], [0.2287, 0.9999, 0.7524], [0.7713, 0.0001, 0.2476], [0.7323, 0.8007, 0.9470], [0.2751, 0.8641, 0.4213], [0.5873, 0.6402, 0.6557], [0.2360, 0.6760, 0.0962], [0.0755, 0.5892, 0.6885], [0.9245, 0.4108, 0.3115], [0.7640, 0.3240, 0.9038], [0.4127, 0.3598, 0.3443], [0.7249, 0.1359, 0.5787], [0.2677, 0.1993, 0.0530]],
  "energy_mp2020_ev_per_atom": -7.170,
  "total_magnetization_mub_per_fu": 2.0
}


[11]
{
  "formula": "Hf3Pb",
  "functional": "PBE",
  "state": "relaxed",
  "lattice": [[3.1695, -5.4897, 0.0000], [3.1695, 5.4897, 0.0000], [0.0000, 0.0000, 5.1635]],
  "species": ["Hf", "Hf", "Hf", "Hf", "Hf", "Hf", "Pb", "Pb"],
  "frac_coords": [[0.1640, 0.3280, 0.2500], [0.6720, 0.8360, 0.2500], [0.1640, 0.8360, 0.2500], [0.8360, 0.6720, 0.7500], [0.3280, 0.1640, 0.7500], [0.8360, 0.1640, 0.7500], [0.3333, 0.6667, 0.7500], [0.6667, 0.3333, 0.2500]]
}


[12]
{
  "formula": "NdY3",
  "functional": "PBE",
  "state": "relaxed",
  "lattice": [[-4.7769, 1.6674, 0.6327], [-1.7725, -4.6383, -1.1589], [0.1966, -1.3057, 4.9250]],
  "species": ["Nd", "Y", "Y", "Y"],
  "frac_coords": [[0.0000, 0.0000, 0.0000], [0.0000, 0.5000, 0.5000], [0.5000, 0.0000, 0.5000], [0.5000, 0.5000, 0.0000]]
}


Number 1: calculated formation energy -1.54 eV per atom. Number 2: calculated formation energy -0.69 eV per atom. Number 3: calculated formation energy -2.02 eV per atom. Number 4: calculated formation energy 0.45 eV per atom. Number 5: calculated formation energy 0.41 eV per atom. Number 6: calculated formation energy -0.29 eV per atom. Number 7: calculated formation energy -2.66 eV per atom. Number 8: calculated formation energy -1.19 eV per atom. Number 9: calculated formation energy -0.72 eV per atom. Number 10: calculated formation energy -2.66 eV per atom. Number 11: calculated formation energy -0.01 eV per atom. Number 12: calculated formation energy 0.02 eV per atom.